Record 1
! Gd2InPd2 PBE relaxed; values from VASP
&SYSTEM
  ibrav = 0, nat = 10, ntyp = 3
/
ATOMIC_SPECIES
Pd 106.42 Pd.upf
Gd 157.25 Gd.upf
In 114.82 In.upf
CELL_PARAMETERS angstrom
-0.388 3.949 6.683
-7.762 -0.267 -0.293
0.039 -3.273 1.936
ATOMIC_POSITIONS angstrom
Pd -7.011 2.248 3.943
Pd -1.139 1.434 2.448
Pd -3.225 3.344 5.718
Pd -4.926 0.339 0.672
Gd -2.578 -1.036 2.036
Gd -6.518 -0.570 2.904
Gd -5.533 1.445 6.290
Gd -1.593 0.979 5.422
In -4.075 1.841 3.195
In 0.000 0.000 0.000
! * formation enthalpy at 0 K: -0.8520 eV per atom

***

Record 2
! NaSbO6 PBE relaxed; values from VASP
&SYSTEM
  ibrav = 0, nat = 32, ntyp = 3
/
ATOMIC_SPECIES
O 16.00 O.upf
Na 22.99 Na.upf
Sb 121.76 Sb.upf
CELL_PARAMETERS angstrom
8.736 0.000 0.000
0.000 8.736 0.000
0.000 0.000 6.904
ATOMIC_POSITIONS angstrom
O 5.745 5.745 3.163
O 2.381 8.728 4.117
O 6.355 8.728 2.787
O 2.381 0.008 2.787
O 4.360 1.987 0.665
O 5.745 2.991 3.740
O 0.008 6.355 4.117
O 6.355 0.008 4.117
O 4.375 6.749 0.665
O 2.991 2.991 3.163
O 8.728 2.381 4.117
O 4.360 6.749 6.239
O 8.728 6.355 2.787
O 1.987 4.360 0.665
O 1.377 1.377 0.289
O 1.377 7.359 6.615
O 6.749 4.375 0.665
O 4.375 1.987 6.239
O 1.987 4.375 6.239
O 7.359 7.359 0.289
O 6.749 4.360 6.239
O 0.008 2.381 2.787
O 2.991 5.745 3.740
O 7.359 1.377 6.615
Na 6.552 6.552 5.178
Na 6.552 2.184 1.726
Na 2.184 2.184 5.178
Na 2.184 6.552 1.726
Sb 6.552 6.552 1.726
Sb 6.552 2.184 5.178
Sb 2.184 2.184 1.726
Sb 2.184 6.552 5.178
! * formation enthalpy at 0 K: -0.6525 eV per atom

***

Record 3
! NdSb2 PBE relaxed; values from VASP
&SYSTEM
  ibrav = 0, nat = 12, ntyp = 2
/
ATOMIC_SPECIES
Nd 144.24 Nd.upf
Sb 121.76 Sb.upf
CELL_PARAMETERS angstrom
-4.429 0.101 -0.020
-0.047 -3.900 2.102
0.125 8.588 15.936
ATOMIC_POSITIONS angstrom
Nd -1.517 6.254 14.926
Nd -2.834 -1.465 3.091
Nd -3.790 1.965 11.533
Nd -0.562 2.824 6.485
Sb -1.603 3.072 13.781
Sb -2.779 1.341 8.268
Sb -3.764 4.746 16.723
Sb -2.749 1.718 4.237
Sb -0.587 0.043 1.294
Sb -0.558 -0.283 5.298
Sb -3.794 5.072 12.720
Sb -1.572 3.448 9.749
! * formation enthalpy at 0 K: -0.9261 eV per atom

***

Record 4
! SmBe13 PBE relaxed; values from VASP
&SYSTEM
  ibrav = 0, nat = 28, ntyp = 2
/
ATOMIC_SPECIES
Be 9.01 Be.upf
Sm 150.36 Sm.upf
CELL_PARAMETERS angstrom
5.804 1.113 4.196
-0.055 -2.176 6.913
4.105 -5.604 2.068
ATOMIC_POSITIONS angstrom
Be 4.835 -3.129 4.452
Be 4.546 -5.697 9.159
Be 5.521 -5.064 3.590
Be 7.953 -5.087 6.919
Be 3.269 -4.541 3.737
Be 5.680 0.058 6.062
Be 4.927 -3.333 6.588
Be 3.355 -2.411 7.725
Be 2.983 -3.438 5.681
Be 8.349 -3.077 5.837
Be 3.492 -4.640 7.506
Be 6.871 -3.228 7.496
Be 5.744 -5.164 7.359
Be 5.309 -0.969 4.018
Be 5.019 -3.537 8.724
Be 4.439 -5.139 5.534
Be 4.333 -1.602 9.587
Be 5.415 -1.527 7.643
Be 6.499 -4.255 5.452
Be 1.901 -1.579 6.258
Be 4.174 -6.724 7.115
Be 4.110 -1.502 5.817
Be 0.000 0.000 0.000
Be 6.585 -2.125 9.440
Be 1.505 -3.589 7.339
Be 6.363 -2.026 5.671
Sm 7.391 -5.000 9.882
Sm 2.464 -1.667 3.294
! * formation enthalpy at 0 K: -0.1741 eV per atom

***

Record 5
! Ni2SbTe2 PBE relaxed; values from VASP
&SYSTEM
  ibrav = 0, nat = 10, ntyp = 3
/
ATOMIC_SPECIES
Sb 121.76 Sb.upf
Te 127.60 Te.upf
Ni 58.69 Ni.upf
CELL_PARAMETERS angstrom
1.241 2.493 2.785
-2.942 -2.504 0.767
10.477 -10.782 4.986
ATOMIC_POSITIONS angstrom
Sb 1.072 -3.534 2.686
Sb 7.704 -7.259 5.851
Te 7.984 -10.648 5.976
Te 4.140 -3.591 4.155
Te 4.636 -7.202 4.382
Te 0.792 -0.145 2.562
Ni 3.494 -3.596 1.663
Ni 8.733 -8.987 4.155
Ni 1.744 -1.795 0.830
Ni 6.983 -7.186 3.323
! * formation enthalpy at 0 K: -0.4290 eV per atom

***

Record 6
! TmRhO3 PBE relaxed; values from VASP
&SYSTEM
  ibrav = 0, nat = 20, ntyp = 3
/
ATOMIC_SPECIES
O 16.00 O.upf
Rh 102.91 Rh.upf
Tm 168.93 Tm.upf
CELL_PARAMETERS angstrom
5.243 0.000 0.000
0.000 5.762 0.000
0.000 0.000 7.593
ATOMIC_POSITIONS angstrom
O 3.379 3.220 1.898
O 4.486 0.339 1.898
O 1.699 1.090 3.288
O 0.923 3.971 0.509
O 4.320 1.791 4.306
O 0.757 5.423 5.695
O 1.699 1.090 0.509
O 3.544 4.672 7.085
O 4.320 1.791 7.085
O 3.544 4.672 4.306
O 1.865 2.542 5.695
O 0.923 3.971 3.288
Rh 0.000 0.000 0.000
Rh 2.622 2.881 3.797
Rh 2.622 2.881 0.000
Rh 0.000 0.000 3.797
Tm 0.171 2.381 1.898
Tm 5.072 3.381 5.695
Tm 2.450 5.262 1.898
Tm 2.793 0.500 5.695
! * formation enthalpy at 0 K: -2.6093 eV per atom

***

Record 7
! CsTmP2O7 PBE relaxed; values from VASP
&SYSTEM
  ibrav = 0, nat = 44, ntyp = 4
/
ATOMIC_SPECIES
P 30.97 P.upf
O 16.00 O.upf
Tm 168.93 Tm.upf
Cs 132.91 Cs.upf
CELL_PARAMETERS angstrom
10.937 0.000 0.000
0.000 7.943 0.000
0.000 2.299 8.513
ATOMIC_POSITIONS angstrom
P 4.401 7.630 2.786
P 9.497 4.129 2.650
P 1.440 6.113 5.863
P 6.909 5.279 6.906
P 6.536 2.612 5.727
P 1.068 8.780 7.042
P 9.870 1.463 1.470
P 4.028 4.964 1.607
O 4.491 7.878 4.278
O 9.765 3.719 4.096
O 8.016 4.113 2.251
O 1.173 6.523 4.416
O 0.789 4.778 6.236
O 0.672 7.213 6.809
O 6.641 4.869 8.353
O 2.980 7.845 2.235
O 4.680 3.628 1.980
O 7.958 2.398 6.277
O 6.141 4.179 5.960
O 0.040 9.597 6.240
O 8.389 5.262 6.508
O 0.978 6.729 0.022
O 6.258 6.614 6.533
O 10.898 0.645 2.273
O 8.448 1.248 2.021
O 5.429 8.448 1.983
O 2.921 6.130 6.261
O 5.508 1.795 6.529
O 9.960 3.514 8.491
O 10.265 3.029 1.704
O 2.548 4.980 2.005
O 4.796 6.064 2.552
O 6.446 2.364 4.234
O 4.296 5.374 0.160
O 2.489 8.994 6.492
O 10.148 5.465 2.277
Tm 6.552 2.451 2.062
Tm 4.386 7.792 6.450
Tm 1.083 6.642 2.194
Tm 9.854 3.600 6.319
Cs 8.906 7.730 4.726
Cs 7.500 6.580 0.470
Cs 2.032 2.513 3.787
Cs 3.437 3.663 8.043
! * spin magnetization: 0.00 μB/f.u.
! * formation enthalpy at 0 K: -3.1658 eV per atom

***

Record 8
! MgB6H10O15 PBE relaxed; values from VASP
&SYSTEM
  ibrav = 0, nat = 128, ntyp = 4
/
ATOMIC_SPECIES
H 1.01 H.upf
O 16.00 O.upf
Mg 24.30 Mg.upf
B 10.81 B.upf
CELL_PARAMETERS angstrom
1.113 -7.129 -3.787
-2.691 4.159 -8.621
14.040 3.598 -2.647
ATOMIC_POSITIONS angstrom
H 13.345 -2.092 -7.955
H 7.706 4.753 -6.728
H 6.944 -3.259 -4.727
H 6.517 2.290 -9.443
H 4.957 2.839 -6.674
H 2.137 -2.381 -4.268
H 4.621 3.504 -9.060
H -0.544 0.553 -8.250
H 10.989 6.164 -11.160
H 3.021 3.976 -7.210
H 6.462 0.014 -3.039
H 0.217 3.550 -7.126
H 11.973 4.789 -9.320
H 4.653 -1.445 -5.187
H 9.846 6.076 -9.157
H 5.356 -2.157 -10.951
H 7.542 -0.008 -5.587
H 6.284 -3.828 -6.762
H 5.486 4.089 -10.220
H 12.619 3.146 -7.126
H 7.317 5.225 -8.193
H 0.418 -3.705 -5.492
H 1.270 -4.237 -3.204
H 12.157 -0.238 -4.792
H 4.206 -0.597 -6.452
H 12.206 -0.095 -12.819
H 6.983 -2.084 -8.681
H 13.082 -0.096 -8.877
H 11.457 5.194 -12.300
H 6.067 0.185 -12.244
H 1.196 -5.790 -3.405
H 7.770 -2.419 -5.752
H -0.246 4.393 -8.389
H 8.963 -0.281 -6.215
H 11.753 0.230 -6.253
H 5.671 1.488 -7.024
H -0.651 0.926 -6.070
H 7.303 -0.912 -7.690
H 0.692 -2.069 -3.719
H -0.090 -2.948 -8.156
O 9.750 -2.495 -8.918
O 13.103 3.161 -6.271
O 1.012 0.339 -2.569
O 5.959 0.048 -11.277
O 4.368 -0.084 -9.554
O 0.367 1.276 -4.685
O 11.176 2.042 -11.555
O 4.261 -3.377 -5.442
O 7.369 1.815 -9.223
O 3.135 0.416 -7.575
O -1.331 0.537 -6.681
O 4.665 -1.699 -3.072
O 1.349 2.008 -7.669
O -1.285 -0.945 -11.367
O 8.204 -1.796 -11.029
O 7.471 -3.339 -5.565
O 13.907 -0.637 -8.760
O 8.932 1.120 -11.678
O 7.821 2.465 -4.570
O 10.713 1.602 -7.509
O 10.878 1.438 -2.819
O 3.410 0.285 -2.963
O 8.737 2.954 -7.546
O 3.576 -5.603 -4.883
O 4.725 -0.560 -5.611
O 1.448 0.064 -11.771
O 0.610 2.864 -9.766
O 8.475 1.392 -2.521
O 0.714 -2.870 -11.208
O 2.246 1.059 -9.739
O 12.946 -2.887 -7.499
O 8.055 -0.632 -6.139
O 11.100 -1.300 -7.343
O 1.247 -2.760 -4.135
O 7.007 -1.113 -8.613
O 10.777 6.197 -9.428
O 9.758 -0.131 -8.961
O 3.734 0.856 -11.673
O 2.301 -1.281 -9.107
O 12.214 0.514 -5.432
O 3.969 4.069 -7.423
O 6.477 0.753 -3.685
O 3.262 -4.812 -7.155
O 11.873 -2.374 -5.361
O -0.667 -2.360 -8.691
O 5.549 -4.104 -7.381
O 5.406 2.052 -6.276
O 5.105 3.239 -9.876
O 3.747 -2.463 -7.582
O 9.309 3.523 -11.610
O 8.211 -0.322 -13.390
O 2.568 1.633 -5.629
O 13.699 1.884 -3.522
O 10.727 -3.701 -7.053
O 10.040 2.686 -5.535
O -0.028 0.598 -9.105
O 11.843 0.973 -9.508
O 2.163 -3.623 -8.953
O 8.189 4.086 -9.570
O 9.711 2.170 -9.637
Mg 11.943 2.346 -4.554
Mg 0.426 -1.120 -10.183
Mg 4.496 1.206 -4.598
Mg 7.873 0.020 -10.139
B 8.550 4.382 -10.863
B 9.797 2.235 -11.158
B 0.998 1.662 -9.054
B 10.533 1.149 -8.871
B 3.048 0.017 -8.967
B 2.762 -2.462 -8.522
B 9.804 2.425 -6.886
B 2.357 1.136 -11.251
B 11.697 -2.526 -6.793
B 4.234 -3.640 -6.889
B 8.461 2.776 -8.959
B 8.993 3.311 -4.653
B 0.167 0.448 -3.617
B 4.648 0.314 -10.814
B 12.097 1.450 -10.763
B 9.681 2.213 -2.358
B 1.505 2.201 -4.738
B 3.783 -0.918 -2.362
B 10.225 -1.320 -8.403
B 2.332 1.344 -6.972
B 7.616 1.584 -3.566
B 2.243 1.094 -2.462
B 4.006 -4.358 -4.512
B 8.783 0.881 -13.046
! * spin magnetization: 0.00 μB/f.u.
! * formation enthalpy at 0 K: -2.1280 eV per atom

***

Record 9
! Hf3Pt PBE relaxed; values from VASP
&SYSTEM
  ibrav = 0, nat = 4, ntyp = 2
/
ATOMIC_SPECIES
Hf 178.49 Hf.upf
Pt 195.08 Pt.upf
CELL_PARAMETERS angstrom
4.305 0.000 0.000
0.000 4.305 0.000
0.000 0.000 4.305
ATOMIC_POSITIONS angstrom
Hf 2.153 2.153 0.000
Hf 0.000 2.153 2.153
Hf 2.153 0.000 2.153
Pt 0.000 0.000 0.000
! * spin magnetization: 0.00 μB/f.u.
! * formation enthalpy at 0 K: -0.4061 eV per atom

***

Record 10
! TbScS3 PBE relaxed; values from VASP
&SYSTEM
  ibrav = 0, nat = 20, ntyp = 3
/
ATOMIC_SPECIES
S 32.06 S.upf
Sc 44.96 Sc.upf
Tb 158.93 Tb.upf
CELL_PARAMETERS angstrom
-0.282 -2.906 5.708
-5.614 -3.678 -2.149
5.761 -6.905 -3.231
ATOMIC_POSITIONS angstrom
S 1.211 -7.605 -2.782
S -4.208 -3.986 -0.977
S 4.074 -9.503 1.304
S 3.958 -6.388 -0.486
S 1.309 -10.906 -0.628
S 2.006 -7.024 2.464
S -0.759 -8.427 0.532
S -4.092 -7.101 0.813
S -1.345 -5.884 3.109
S -2.140 -6.465 -2.137
S 0.625 -5.062 -0.205
S -1.443 -2.583 0.955
Sc 0.074 -5.292 -2.690
Sc -2.807 -1.839 -1.075
Sc -0.141 -1.453 2.854
Sc 2.740 -4.905 1.238
Tb 1.927 -8.219 -0.195
Tb -0.997 -11.273 1.118
Tb -2.061 -5.270 0.522
Tb 0.863 -2.216 -0.791
! * formation enthalpy at 0 K: -2.2915 eV per atom

***

Record 11
! LiAuO2 PBE relaxed; values from VASP
&SYSTEM
  ibrav = 0, nat = 8, ntyp = 3
/
ATOMIC_SPECIES
O 16.00 O.upf
Au 196.97 Au.upf
Li 6.94 Li.upf
CELL_PARAMETERS angstrom
-2.151 2.151 5.370
2.151 -2.151 5.370
2.151 2.151 -5.370
ATOMIC_POSITIONS angstrom
O 1.062 3.226 1.342
O 1.089 -1.075 6.712
O -1.075 1.089 4.027
O 3.226 1.062 -1.342
Au 2.151 0.000 2.685
Au 0.000 0.000 5.370
Li 0.000 2.151 2.685
Li 0.000 0.000 0.000
! * piezoelectric modulus e_max: 0.1 C/m²
! * formation enthalpy at 0 K: -1.2371 eV per atom

***

Record 12
! Ge3Os2 PBE relaxed; values from VASP
&SYSTEM
  ibrav = 0, nat = 20, ntyp = 2
/
ATOMIC_SPECIES
Os 190.23 Os.upf
Ge 72.64 Ge.upf
CELL_PARAMETERS angstrom
-5.532 0.584 -1.721
-1.565 -4.336 3.559
-1.488 6.187 6.883
ATOMIC_POSITIONS angstrom
Os -2.086 3.251 7.807
Os -3.921 -0.329 2.639
Os -4.665 2.765 6.081
Os -3.695 4.154 3.436
Os 0.000 0.000 0.000
Os -2.951 1.061 -0.006
Os -1.342 0.157 4.366
Os -0.744 3.094 3.441
Ge -3.091 0.929 5.963
Ge -5.226 1.289 0.903
Ge -2.897 1.830 3.028
Ge -1.878 -0.866 1.457
Ge -5.297 5.098 5.954
Ge -5.472 -1.834 1.549
Ge -5.437 -0.445 4.523
Ge -2.616 -1.947 4.376
Ge -5.748 2.557 3.926
Ge -4.525 2.474 8.480
Ge -6.999 1.531 6.685
Ge -2.331 3.998 5.477
! * piezoelectric modulus e_max: 0.5 C/m²
! * formation enthalpy at 0 K: -0.0629 eV per atom